Model P:
{"formula": "Al2FeO4", "functional": "GGA+U", "state": "optimized geometry", "lattice": [[-5.660, -1.287, -0.515], [-3.475, 0.172, 4.686], [-24.021, 25.329, 3.084]], "species": ["O", "O", "Al", "O", "Al", "Al", "O", "O", "O", "Fe", "Al", "O", "O", "O", "O", "O", "Al", "O", "Fe", "Al", "Fe", "Fe", "O", "Fe", "O", "O", "O", "Al", "O", "Al", "Al", "O", "O", "O", "O", "Fe", "O", "O", "O", "Al", "O", "Al", "O", "O", "Al", "O", "Fe", "Al", "O", "O", "O", "Al", "Al", "O", "Fe", "O", "Al", "O", "O", "Al", "O", "Al", "O", "Al", "Fe", "O", "Al", "O", "O", "O", "Al", "Fe", "Fe", "Al", "O", "Fe", "O", "O", "O", "O", "Al", "O", "Al", "O"], "frac_coords": [[0.736, 0.732, 0.789], [0.708, 0.246, 0.217], [0.501, 0.501, 0.666], [0.736, 0.730, 0.716], [0.499, 0.000, 0.583], [0.497, 0.500, 0.916], [0.734, 0.294, 0.790], [0.760, 0.260, 0.953], [0.757, 0.271, 0.119], [0.873, 0.874, 0.813], [0.496, 0.007, 0.916], [0.701, 0.266, 0.378], [0.727, 0.731, 0.886], [0.297, 0.733, 0.789], [0.703, 0.264, 0.711], [0.267, 0.270, 0.877], [0.501, 0.999, 0.750], [0.266, 0.702, 0.378], [0.122, 0.120, 0.189], [0.006, 0.499, 0.916], [0.122, 0.123, 0.022], [0.874, 0.877, 0.646], [0.248, 0.706, 0.217], [0.126, 0.126, 0.687], [0.702, 0.264, 0.545], [0.259, 0.761, 0.953], [0.264, 0.266, 0.951], [0.001, 0.503, 0.416], [0.266, 0.268, 0.451], [0.501, 0.500, 0.500], [0.498, 0.500, 0.583], [0.733, 0.298, 0.622], [0.753, 0.752, 0.208], [0.747, 0.747, 0.044], [0.701, 0.269, 0.877], [0.496, 0.498, 0.168], [0.708, 0.252, 0.048], [0.296, 0.733, 0.623], [0.266, 0.262, 0.784], [0.499, 0.002, 0.251], [0.298, 0.736, 0.456], [0.500, 0.500, 0.333], [0.265, 0.265, 0.711], [0.735, 0.737, 0.382], [0.501, 0.501, 0.832], [0.260, 0.263, 0.119], [0.502, 0.502, 0.000], [0.882, 0.882, 0.143], [0.305, 0.732, 0.289], [0.264, 0.266, 0.378], [0.755, 0.757, 0.120], [0.005, 0.495, 0.251], [0.500, 0.498, 0.750], [0.265, 0.262, 0.617], [0.880, 0.880, 0.310], [0.733, 0.734, 0.456], [0.501, 0.503, 0.416], [0.732, 0.734, 0.549], [0.256, 0.257, 0.047], [0.501, 0.002, 0.416], [0.263, 0.702, 0.545], [0.877, 0.878, 0.978], [0.758, 0.759, 0.954], [0.498, 0.494, 0.251], [0.876, 0.876, 0.478], [0.734, 0.304, 0.289], [0.496, 0.009, 0.083], [0.266, 0.266, 0.544], [0.268, 0.702, 0.876], [0.263, 0.258, 0.286], [0.008, 0.498, 0.083], [0.123, 0.123, 0.355], [0.124, 0.124, 0.855], [0.002, 0.498, 0.750], [0.251, 0.710, 0.048], [0.125, 0.125, 0.521], [0.249, 0.245, 0.217], [0.736, 0.298, 0.456], [0.270, 0.759, 0.119], [0.733, 0.734, 0.622], [0.495, 0.497, 0.083], [0.733, 0.730, 0.289], [0.000, 0.500, 0.583], [0.266, 0.702, 0.711]], "m_tot_mub_per_cell": 48.00}

***

Model Q:
{"formula": "Al2FeO4", "functional": "GGA+U", "state": "optimized geometry", "lattice": [[2.678, -2.637, 4.467], [4.269, -3.859, -0.985], [38.554, 9.632, 9.090]], "species": ["O", "Al", "Al", "O", "O", "Fe", "O", "O", "Al", "O", "Al", "O", "O", "O", "Al", "O", "O", "Al", "Fe", "O", "O", "Fe", "O", "Al", "Al", "Fe", "O", "O", "O", "Al", "Al", "O", "O", "O", "Fe", "Al", "O", "Fe", "O", "Al", "O", "Fe", "O", "O", "O", "O", "Al", "O", "Al", "Al", "O", "O", "O", "O", "O", "O", "Al", "O", "O", "O", "O", "Al", "O", "Fe", "Al", "Al", "Al", "O", "Al", "Al", "O", "O", "O", "Fe", "O", "Fe", "O", "Al", "O", "O", "O", "Fe", "O", "Al", "O", "Al", "O", "Al", "Al", "Fe", "O", "Al", "O", "Fe", "O", "O", "O", "Fe"], "frac_coords": [[0.706, 0.269, 0.609], [0.003, 0.504, 0.643], [0.499, 0.999, 0.786], [0.701, 0.265, 0.896], [0.732, 0.297, 0.819], [0.873, 0.873, 0.983], [0.718, 0.718, 0.043], [0.299, 0.734, 0.247], [0.494, 0.494, 0.215], [0.734, 0.734, 0.391], [0.000, 0.500, 0.500], [0.703, 0.266, 0.467], [0.738, 0.738, 0.898], [0.269, 0.706, 0.609], [0.863, 0.863, 0.128], [0.734, 0.734, 0.677], [0.735, 0.735, 0.533], [0.498, 0.498, 0.286], [0.120, 0.120, 0.305], [0.297, 0.734, 0.534], [0.700, 0.254, 0.183], [0.125, 0.125, 0.875], [0.297, 0.732, 0.819], [0.500, 0.000, 0.500], [0.508, 0.508, 0.997], [0.874, 0.874, 0.268], [0.265, 0.265, 0.529], [0.259, 0.259, 0.960], [0.278, 0.278, 0.028], [0.001, 0.504, 0.928], [0.498, 0.498, 0.786], [0.734, 0.734, 0.328], [0.266, 0.266, 0.752], [0.266, 0.266, 0.466], [0.500, 0.000, 0.071], [0.495, 0.999, 0.215], [0.280, 0.749, 0.032], [0.874, 0.874, 0.411], [0.254, 0.700, 0.183], [0.136, 0.136, 0.015], [0.271, 0.271, 0.672], [0.124, 0.124, 0.447], [0.732, 0.732, 0.471], [0.259, 0.259, 0.183], [0.266, 0.266, 0.324], [0.266, 0.266, 0.386], [0.500, 0.500, 0.071], [0.267, 0.267, 0.610], [0.505, 0.505, 0.928], [0.504, 0.001, 0.928], [0.299, 0.746, 0.960], [0.261, 0.261, 0.245], [0.740, 0.740, 0.183], [0.702, 0.261, 0.753], [0.731, 0.731, 0.248], [0.265, 0.701, 0.896], [0.500, 0.500, 0.714], [0.702, 0.266, 0.324], [0.746, 0.299, 0.960], [0.740, 0.740, 0.960], [0.265, 0.265, 0.815], [0.501, 0.501, 0.571], [0.297, 0.737, 0.390], [0.876, 0.876, 0.554], [0.999, 0.499, 0.786], [0.999, 0.495, 0.215], [0.504, 0.504, 0.642], [0.734, 0.299, 0.247], [0.000, 0.500, 0.357], [0.499, 0.499, 0.500], [0.721, 0.721, 0.115], [0.250, 0.719, 0.111], [0.269, 0.269, 0.895], [0.125, 0.125, 0.732], [0.739, 0.299, 0.676], [0.000, 0.500, 0.071], [0.261, 0.702, 0.753], [0.491, 0.491, 0.145], [0.719, 0.250, 0.111], [0.266, 0.703, 0.467], [0.734, 0.297, 0.534], [0.877, 0.877, 0.697], [0.738, 0.738, 0.614], [0.500, 0.000, 0.357], [0.737, 0.297, 0.390], [0.501, 0.501, 0.857], [0.733, 0.733, 0.819], [0.499, 0.499, 0.357], [0.504, 0.003, 0.643], [0.128, 0.128, 0.589], [0.266, 0.702, 0.324], [0.500, 0.500, 0.429], [0.281, 0.281, 0.100], [0.879, 0.879, 0.838], [0.749, 0.280, 0.032], [0.731, 0.731, 0.757], [0.299, 0.739, 0.676], [0.126, 0.126, 0.160]], "m_tot_mub_per_cell": 40.09}

***

model Q ends up most stable, edging out the next structure by 11 meV/atom.